Entry 1:
The following is a PBE-GGA calculation of crystalline Na6Ca3Si2GeS4O24 at its relaxed geometry, from the Materials Project database.

Cell lengths 9.3444, 9.3832, 22.7165 Å; angles 90.54, 88.55, 120.45 degrees
Positions (direct):
O: 0.8409 0.3744 0.9245
O: 0.2315 0.9925 0.1898
O: 0.2115 0.0516 0.5829
O: 0.8383 0.4977 0.4229
O: 0.2193 0.2174 0.6960
O: 0.4614 0.1448 0.5244
O: 0.8327 0.0386 0.0741
O: 0.8353 0.0175 0.4203
O: 0.6253 0.1216 0.7559
O: 0.1624 0.4736 0.2512
O: 0.6834 0.5045 0.5241
O: 0.2956 0.4725 0.7469
O: 0.1355 0.4484 0.9774
O: 0.7969 0.7980 0.2057
O: 0.8879 0.5516 0.0208
O: 0.4504 0.3251 0.1449
O: 0.5517 0.9297 0.3612
O: 0.7701 0.9739 0.8106
O: 0.8684 0.5446 0.1282
O: 0.5561 0.8767 0.4785
O: 0.4712 0.1124 0.6301
O: 0.5280 0.8936 0.0780
O: 0.6622 0.5262 0.2555
O: 0.3129 0.8772 0.9829
O: 0.5236 0.6849 0.2509
O: 0.0219 0.7806 0.6981
O: 0.5038 0.3211 0.0246
O: 0.2197 0.2259 0.8041
O: 0.6615 0.5276 0.6437
O: 0.4786 0.3606 0.7516
O: 0.3556 0.4942 0.0806
O: 0.9912 0.8065 0.0753
O: 0.3607 0.4602 0.3673
O: 0.5666 0.6719 0.9691
O: 0.3303 0.4306 0.4740
O: 0.6347 0.4791 0.9183
O: 0.6611 0.1857 0.4316
O: 0.2215 0.1852 0.4141
O: 0.6847 0.1453 0.1312
O: 0.2024 0.9857 0.2965
O: 0.4669 0.7810 0.7714
O: 0.1019 0.6484 0.3739
O: 0.5236 0.1584 0.9215
O: 0.1976 0.1635 0.0707
O: 0.1354 0.5344 0.8656
O: 0.3626 0.8783 0.8668
O: 0.8550 0.3215 0.2510
O: 0.3220 0.8685 0.5723
O: 0.8370 0.8026 0.5751
O: 0.0170 0.2363 0.1884
O: 0.4762 0.1461 0.2522
O: 0.9780 0.7967 0.4220
O: 0.8458 0.3062 0.5274
O: 0.7652 0.7780 0.3126
O: 0.0885 0.6625 0.4808
O: 0.6943 0.1533 0.0221
O: 0.0020 0.7811 0.8061
O: 0.1160 0.4760 0.5748
O: 0.5219 0.3710 0.4193
O: 0.1352 0.6526 0.0821
O: 0.4968 0.6296 0.5789
O: 0.8698 0.3324 0.6347
O: 0.3352 0.8476 0.2461
O: 0.8573 0.5238 0.7539
O: 0.1621 0.6775 0.7552
O: 0.9989 0.1979 0.2943
O: 0.7112 0.9149 0.6950
O: 0.8135 0.7791 0.9103
O: 0.9707 0.1758 0.5794
O: 0.1861 0.0158 0.9155
O: 0.5398 0.6261 0.8632
O: 0.9915 0.1979 0.9062
Na: 0.9921 0.6809 0.9236
Na: 0.3617 0.3612 0.2367
Na: 0.0161 0.0126 0.9953
Na: 0.3397 0.6487 0.1614
Na: 0.6309 0.6477 0.7435
Na: 0.6708 0.3111 0.3410
Na: 0.6477 0.0094 0.2664
Na: 0.3029 0.9788 0.0723
Na: 0.3134 0.3449 0.5918
Na: 0.6937 0.0284 0.9025
Na: 0.0597 0.3361 0.0691
Na: 0.6612 0.3024 0.8309
Na: 0.0216 0.6995 0.5803
Na: 0.6548 0.9302 0.5768
Na: 0.9880 0.0088 0.4981
Na: 0.3627 0.6793 0.6765
Na: 0.3095 0.3047 0.9160
Na: 0.6839 0.6921 0.4270
Ca: 0.3387 0.6907 0.3258
Ca: 0.3465 0.6688 0.0147
Ca: 0.3349 0.6644 0.5116
Ca: 0.6698 0.3481 0.1827
Ca: 0.6543 0.3127 0.6908
Ca: 0.9983 0.0104 0.8464
Ca: 0.0091 0.0008 0.1441
Ca: 0.0028 0.0050 0.3534
Ca: 0.9648 0.9824 0.6563
Si: 0.6551 0.9668 0.7579
Si: 0.6673 0.6190 0.5838
Si: 0.0277 0.3820 0.9199
Si: 0.6516 0.9985 0.4229
Si: 0.3366 0.9802 0.9245
Si: 0.3787 0.3339 0.0820
S: 0.0072 0.6551 0.4251
S: 0.6380 0.6448 0.9147
S: 0.3522 0.3581 0.4188
S: 0.0083 0.3093 0.2463
S: 0.3079 0.9912 0.2461
S: 0.6910 0.6974 0.2558
S: 0.9686 0.6368 0.0767
S: 0.3016 0.3188 0.7496
S: 0.3677 0.0450 0.5781
S: 0.0038 0.6901 0.7533
S: 0.6822 0.0556 0.0772
S: 0.9498 0.3243 0.5798
Ge: 0.6700 0.3337 0.4835
Ge: 0.6543 0.3216 0.9742
Ge: 0.2956 0.7018 0.8219

Values from the calculation:
Total magnetization   0.00 μB per formula unit
Energy of formation from the pure elements   -98.3 eV per formula unit
Electronic total energy   -6.1625 eV/atom

Entry 2:
The following is a PBE-GGA calculation of crystalline Nd23Cd4Rh7 at its relaxed geometry, from the Materials Project database.

Cell lengths 10.0230, 10.0230, 22.6238 Å; angles 90.00, 90.00, 120.00 degrees
Positions (direct):
Nd: 0.9171 0.4586 0.3563
Nd: 0.4153 0.2076 0.9472
Nd: 0.7924 0.2076 0.9472
Nd: 0.0000 0.0000 0.4951
Nd: 0.5414 0.4586 0.3563
Nd: 0.8732 0.1268 0.6355
Nd: 0.2075 0.4150 0.7211
Nd: 0.2016 0.4032 0.2829
Nd: 0.5814 0.7907 0.9895
Nd: 0.1268 0.8732 0.1355
Nd: 0.6667 0.3333 0.6452
Nd: 0.5414 0.0829 0.3563
Nd: 0.4150 0.2075 0.2211
Nd: 0.4601 0.5399 0.5854
Nd: 0.4032 0.2016 0.7829
Nd: 0.7907 0.5814 0.4895
Nd: 0.7925 0.5850 0.2211
Nd: 0.2076 0.7924 0.4472
Nd: 0.5968 0.7984 0.2829
Nd: 0.4586 0.9171 0.8563
Nd: 0.2537 0.1268 0.6355
Nd: 0.2093 0.7907 0.9895
Nd: 0.2075 0.7925 0.7211
Nd: 0.5399 0.0799 0.0854
Nd: 0.2076 0.4153 0.4472
Nd: 0.0829 0.5414 0.8563
Nd: 0.7925 0.2075 0.2211
Nd: 0.5850 0.7925 0.7211
Nd: 0.4586 0.5414 0.8563
Nd: 0.5847 0.7924 0.4472
Nd: 0.9201 0.4601 0.0854
Nd: 0.7984 0.2016 0.7829
Nd: 0.5399 0.4601 0.0854
Nd: 0.2016 0.7984 0.2829
Nd: 0.4186 0.2093 0.4895
Nd: 0.2093 0.4186 0.9895
Nd: 0.0000 0.0000 0.9951
Nd: 0.3333 0.6667 0.1452
Nd: 0.0799 0.5399 0.5854
Nd: 0.7907 0.2093 0.4895
Nd: 0.7463 0.8732 0.1355
Nd: 0.7984 0.5968 0.7829
Nd: 0.4601 0.9201 0.5854
Nd: 0.7924 0.5847 0.9472
Nd: 0.1268 0.2537 0.1355
Nd: 0.8732 0.7463 0.6355
Rh: 0.0434 0.5217 0.2110
Rh: 0.2852 0.1426 0.0627
Rh: 0.8574 0.7148 0.0627
Rh: 0.1426 0.2852 0.5627
Rh: 0.1426 0.8574 0.5627
Rh: 0.4783 0.9566 0.2110
Rh: 0.8574 0.1426 0.0627
Rh: 0.3333 0.6667 0.3631
Rh: 0.5217 0.0434 0.7110
Rh: 0.7148 0.8574 0.5627
Rh: 0.5217 0.4783 0.7110
Rh: 0.4783 0.5217 0.2110
Rh: 0.6667 0.3333 0.8631
Rh: 0.9566 0.4783 0.7110
Cd: 0.1076 0.8924 0.8629
Cd: 0.8924 0.1076 0.3629
Cd: 0.1076 0.2151 0.8629
Cd: 0.2151 0.1076 0.3629
Cd: 0.0000 0.0000 0.7490
Cd: 0.8924 0.7849 0.3629
Cd: 0.7849 0.8924 0.8629
Cd: 0.0000 0.0000 0.2490

Values from the calculation:
Energy of formation from the pure elements   -15.2 eV per formula unit
Electronic total energy   -5.2961 eV/atom

Entry 3:
The following is a PBE-GGA calculation of crystalline La2MgGeO6 at its relaxed geometry, from the Materials Project database.

Cell lengths 5.5180, 5.5180, 5.5180 Å; angles 60.75, 60.75, 60.75 degrees
Positions (direct):
La: 0.7494 0.7494 0.7494
La: 0.2506 0.2506 0.2506
O: 0.1934 0.7365 0.3249
O: 0.3249 0.1934 0.7365
O: 0.8066 0.2635 0.6751
O: 0.7365 0.3249 0.1934
O: 0.2635 0.6751 0.8066
O: 0.6751 0.8066 0.2635
Mg: 0.0000 0.0000 0.0000
Ge: 0.5000 0.5000 0.5000

Values from the calculation:
Total magnetization   0.00 μB per formula unit
Energy of formation from the pure elements   -32.6 eV per formula unit
Electronic total energy   -7.4246 eV/atom

Entry 4:
The following is a PBE-GGA calculation of crystalline Ga2S3 at its relaxed geometry, from the Materials Project database.

Cell lengths 6.5537, 6.5537, 6.4314 Å; angles 81.02, 81.02, 120.84 degrees
Positions (direct):
Ga: 0.1482 0.9811 0.5029
Ga: 0.8410 0.3479 0.5024
Ga: 0.3479 0.8410 0.0024
Ga: 0.9811 0.1482 0.0029
S: 0.1390 0.2991 0.6200
S: 0.9598 0.4617 0.1172
S: 0.4617 0.9598 0.6172
S: 0.2991 0.1390 0.1200
S: 0.6179 0.7876 0.1324
S: 0.7876 0.6179 0.6324

Values from the calculation:
Piezoelectric modulus e_max   0.3 C/m2
Energy of formation from the pure elements   -4.8 eV per formula unit
Electronic total energy   -4.3544 eV/atom

Entry 5:
The following is a PBE-GGA calculation of crystalline Cu2As2O7 at its relaxed geometry, from the Materials Project database.

Cell lengths 5.6157, 5.6157, 5.0197 Å; angles 74.98, 74.98, 96.11 degrees
Positions (direct):
As: 0.7986 0.7986 0.9054
As: 0.2014 0.2014 0.0946
Cu: 0.6858 0.3142 0.5000
Cu: 0.3142 0.6858 0.5000
O: 0.9654 0.6281 0.7167
O: 0.0000 0.0000 0.0000
O: 0.3719 0.0346 0.2833
O: 0.6281 0.9654 0.7167
O: 0.6006 0.6006 0.2337
O: 0.3994 0.3994 0.7663
O: 0.0346 0.3719 0.2833

Values from the calculation:
Excess energy over the best structure of this formula in the dataset   10 kJ/mol of formula units
Energy of formation from the pure elements   -14.8 eV per formula unit
Electronic total energy   -5.6530 eV/atom

Entry 6:
The following is a PBE-GGA calculation of crystalline FeCl3 at its relaxed geometry, from the Materials Project database.

Cell lengths 3.7550, 7.5916, 8.8773 Å; angles 95.03, 94.09, 102.74 degrees
Positions (direct):
Cl: 0.4270 0.4579 0.8998
Cl: 0.5309 0.5240 0.5368
Cl: 0.0119 0.6719 0.2145
Cl: 0.6753 0.9934 0.5098
Cl: 0.1783 0.2315 0.2049
Cl: 0.1631 0.8473 0.8148
Fe: 0.6149 0.7895 0.6606
Fe: 0.4174 0.4933 0.1410

Values from the calculation:
Total magnetization   5.00 μB per formula unit
Energy of formation from the pure elements   -4.6 eV per formula unit
Electronic total energy   -4.1837 eV/atom

Entry 7:
The following is a PBE-GGA calculation of crystalline K4Hf3Te17 at its relaxed geometry, from the Materials Project database.

Cell lengths 31.1763, 10.4208, 11.9714 Å; angles 63.86, 90.00, 90.00 degrees
Positions (direct):
Te: 0.5559 0.3018 0.7845
Te: 0.6972 0.9371 0.6314
Te: 0.1178 0.3724 0.2399
Te: 0.2059 0.9924 0.1583
Te: 0.1000 0.7992 0.2595
Te: 0.1062 0.4769 0.5761
Te: 0.3236 0.6263 0.9128
Te: 0.1779 0.6900 0.7278
Te: 0.6764 0.3737 0.0872
Te: 0.6767 0.6230 0.4536
Te: 0.0267 0.4038 0.7846
Te: 0.5611 0.6162 0.4531
Te: 0.8942 0.0163 0.3792
Te: 0.2923 0.3981 0.2907
Te: 0.3822 0.3724 0.7399
Te: 0.0568 0.0229 0.3915
Te: 0.7077 0.6019 0.7093
Te: 0.9698 0.9965 0.8437
Te: 0.8822 0.6276 0.7601
Te: 0.8938 0.5231 0.4239
Te: 0.9432 0.9771 0.6085
Te: 0.3942 0.9837 0.1208
Te: 0.3028 0.0629 0.3686
Te: 0.3173 0.0131 0.8820
Te: 0.4389 0.3838 0.5469
Te: 0.3938 0.4769 0.0761
Te: 0.1767 0.3770 0.0464
Te: 0.6779 0.3100 0.7722
Te: 0.3221 0.6900 0.2278
Te: 0.0559 0.6982 0.7155
Te: 0.4432 0.0229 0.8915
Te: 0.9389 0.6162 0.9531
Te: 0.8221 0.3100 0.2722
Te: 0.6058 0.0163 0.8792
Te: 0.9733 0.5962 0.2154
Te: 0.0302 0.0035 0.1563
Te: 0.4000 0.7992 0.7595
Te: 0.3860 0.1311 0.4169
Te: 0.2941 0.9924 0.6583
Te: 0.5302 0.9965 0.3437
Te: 0.7941 0.0076 0.8417
Te: 0.1827 0.0131 0.3820
Te: 0.6140 0.8689 0.5831
Te: 0.1764 0.6263 0.4128
Te: 0.7059 0.0076 0.3417
Te: 0.8860 0.8689 0.0831
Te: 0.8028 0.9371 0.1314
Te: 0.1140 0.1311 0.9169
Te: 0.6827 0.9869 0.1180
Te: 0.6178 0.6276 0.2601
Te: 0.1972 0.0629 0.8686
Te: 0.8233 0.6230 0.9536
Te: 0.2077 0.3981 0.7907
Te: 0.3233 0.3770 0.5464
Te: 0.5568 0.9771 0.1085
Te: 0.9000 0.2008 0.7405
Te: 0.4733 0.4038 0.2846
Te: 0.8173 0.9869 0.6180
Te: 0.5267 0.5962 0.7154
Te: 0.9441 0.3018 0.2845
Te: 0.0611 0.3838 0.0469
Te: 0.8236 0.3737 0.5872
Te: 0.6000 0.2008 0.2405
Te: 0.6062 0.5231 0.9239
Te: 0.4441 0.6982 0.2155
Te: 0.1058 0.9837 0.6208
Te: 0.7923 0.6019 0.2093
Te: 0.4698 0.0035 0.6563
K: 0.2771 0.6965 0.5649
K: 0.2229 0.6965 0.0649
K: 0.0672 0.7712 0.9802
K: 0.2946 0.2405 0.0357
K: 0.0192 0.2621 0.5383
K: 0.7054 0.7595 0.9643
K: 0.4808 0.2621 0.0383
K: 0.4328 0.7712 0.4802
K: 0.9328 0.2288 0.0198
K: 0.7771 0.3035 0.9351
K: 0.2054 0.2405 0.5357
K: 0.7229 0.3035 0.4351
K: 0.5192 0.7379 0.9617
K: 0.9808 0.7379 0.4617
K: 0.7946 0.7595 0.4643
K: 0.5672 0.2288 0.5198
Hf: 0.3808 0.1178 0.6752
Hf: 0.6189 0.2141 0.9947
Hf: 0.1189 0.7859 0.5053
Hf: 0.8811 0.2141 0.4947
Hf: 0.1180 0.4488 0.8341
Hf: 0.3811 0.7859 0.0053
Hf: 0.6192 0.8822 0.3248
Hf: 0.3820 0.4488 0.3341
Hf: 0.8808 0.8822 0.8248
Hf: 0.1192 0.1178 0.1752
Hf: 0.8820 0.5512 0.1659
Hf: 0.6180 0.5512 0.6659

Values from the calculation:
Total magnetization   0.00 μB per formula unit
Energy of formation from the pure elements   -22.5 eV per formula unit
Electronic total energy   -4.2963 eV/atom

Entry 8:
The following is a PBE-GGA calculation of crystalline Ba6Gd2Al4O15 at its relaxed geometry, from the Materials Project database.

Cell lengths 5.9982, 7.9870, 18.6077 Å; angles 88.53, 90.00, 90.00 degrees
Positions (direct):
Ba: 0.2426 0.4984 0.9176
Ba: 0.7447 0.9691 0.0901
Ba: 0.2553 0.9691 0.5901
Ba: 0.7241 0.0000 0.7500
Ba: 0.6699 0.5000 0.7500
Ba: 0.2426 0.5016 0.5824
Ba: 0.7574 0.5016 0.0824
Ba: 0.2553 0.0309 0.9099
Ba: 0.2759 0.0000 0.2500
Ba: 0.7447 0.0309 0.4099
Ba: 0.3301 0.5000 0.2500
Ba: 0.7574 0.4984 0.4176
O: 0.7895 0.0000 0.2500
O: 0.2456 0.4583 0.4068
O: 0.7594 0.9425 0.6071
O: 0.0315 0.7302 0.3086
O: 0.7544 0.5417 0.5932
O: 0.4451 0.2481 0.6675
O: 0.2105 0.0000 0.7500
O: 0.4451 0.7519 0.8325
O: 0.9914 0.2379 0.0020
O: 0.4926 0.7639 0.0009
O: 0.6862 0.6937 0.1859
O: 0.4926 0.2361 0.4991
O: 0.5074 0.2361 0.9991
O: 0.9685 0.7302 0.8086
O: 0.6862 0.3063 0.3141
O: 0.0086 0.2379 0.5020
O: 0.0086 0.7621 0.9980
O: 0.5074 0.7639 0.5009
O: 0.7594 0.0575 0.8929
O: 0.3138 0.3063 0.8141
O: 0.9914 0.7621 0.4980
O: 0.9685 0.2698 0.6914
O: 0.5549 0.2481 0.1675
O: 0.2406 0.0575 0.3929
O: 0.2406 0.9425 0.1071
O: 0.0315 0.2698 0.1914
O: 0.3138 0.6937 0.6859
O: 0.7544 0.4583 0.9068
O: 0.2456 0.5417 0.0932
O: 0.5549 0.7519 0.3325
Gd: 0.2540 0.7522 0.4100
Gd: 0.2540 0.2478 0.0900
Gd: 0.7460 0.7522 0.9100
Gd: 0.7460 0.2478 0.5900
Al: 0.7727 0.7798 0.2667
Al: 0.7515 0.2474 0.9432
Al: 0.2485 0.7526 0.0568
Al: 0.2273 0.7798 0.7667
Al: 0.7515 0.7526 0.5568
Al: 0.2273 0.2202 0.7333
Al: 0.7727 0.2202 0.2333
Al: 0.2485 0.2474 0.4432

Values from the calculation:
Total magnetization   14.00 μB per formula unit
Energy of formation from the pure elements   -91.6 eV per formula unit
Electronic total energy   -7.7821 eV/atom

- Which of these has the lowest energy of formation from the pure elements?
  Na6Ca3Si2GeS4O24

Repeat the third record exactly.
The following is a PBE-GGA calculation of crystalline La2MgGeO6 at its relaxed geometry, from the Materials Project database.

Cell lengths 5.5180, 5.5180, 5.5180 Å; angles 60.75, 60.75, 60.75 degrees
Positions (direct):
La: 0.7494 0.7494 0.7494
La: 0.2506 0.2506 0.2506
O: 0.1934 0.7365 0.3249
O: 0.3249 0.1934 0.7365
O: 0.8066 0.2635 0.6751
O: 0.7365 0.3249 0.1934
O: 0.2635 0.6751 0.8066
O: 0.6751 0.8066 0.2635
Mg: 0.0000 0.0000 0.0000
Ge: 0.5000 0.5000 0.5000

Values from the calculation:
Total magnetization   0.00 μB per formula unit
Energy of formation from the pure elements   -32.6 eV per formula unit
Electronic total energy   -7.4246 eV/atom

- electronic total energy of number 6 (FeCl3)?
  -4.1837 eV/atom